(1)
{
  "formula": "SmCdGa",
  "functional": "PBE",
  "state": "relaxed",
  "spacegroup": "P-62m",
  "total_energy_ev_per_atom": -3.4153,
  "formation_energy_kj_per_mol_atoms": -50.7,
  "lattice_angstrom": [[0.000, 0.000, -4.454], [-3.698, -6.405, 0.000], [-3.698, 6.405, 0.000]],
  "species": ["Sm", "Sm", "Sm", "Cd", "Cd", "Cd", "Ga", "Ga", "Ga"],
  "fractional_positions": [[0.500, 0.578, 0.578], [0.500, 0.000, 0.422], [0.500, 0.422, 0.000], [0.000, 0.248, 0.248], [0.000, 0.000, 0.752], [0.000, 0.752, 0.000], [0.000, 0.667, 0.333], [0.000, 0.333, 0.667], [0.500, 0.000, 0.000]]
}


(2)
{
  "formula": "Sr2CdGa",
  "functional": "PBE",
  "state": "relaxed",
  "spacegroup": "Fm-3m",
  "m_tot_mub_per_atom": 0.003,
  "total_energy_ev_per_atom": -2.1808,
  "formation_energy_kj_per_mol_atoms": -33.6,
  "lattice_angstrom": [[0.000, 3.987, 3.987], [3.987, 0.000, 3.987], [3.987, 3.987, 0.000]],
  "species": ["Sr", "Sr", "Cd", "Ga"],
  "fractional_positions": [[0.250, 0.250, 0.250], [0.750, 0.750, 0.750], [0.500, 0.500, 0.500], [0.000, 0.000, 0.000]]
}


(3)
{
  "formula": "YCdGa",
  "functional": "PBE",
  "state": "relaxed",
  "spacegroup": "F-43m",
  "m_tot_mub_per_atom": 0.000,
  "total_energy_ev_per_atom": -3.4328,
  "formation_energy_kj_per_mol_atoms": 3.8,
  "lattice_angstrom": [[1.672, -4.395, -1.405], [-2.425, -2.576, -3.402], [1.926, -0.576, -4.477]],
  "species": ["Y", "Cd", "Ga"],
  "fractional_positions": [[0.250, 0.250, 0.250], [0.000, 0.000, 0.000], [0.500, 0.500, 0.500]]
}


(4)
{
  "formula": "GdCd3",
  "functional": "PBE",
  "state": "relaxed",
  "spacegroup": "P6_3/mmc",
  "total_energy_ev_per_atom": -4.4918,
  "formation_energy_kj_per_mol_atoms": -27.1,
  "lattice_angstrom": [[0.000, 0.000, -5.006], [-3.334, -5.775, 0.000], [-6.669, 0.000, 0.000]],
  "species": ["Gd", "Gd", "Cd", "Cd", "Cd", "Cd", "Cd", "Cd"],
  "fractional_positions": [[0.250, 0.333, 0.333], [0.750, 0.667, 0.667], [0.250, 0.838, 0.838], [0.750, 0.675, 0.162], [0.750, 0.162, 0.162], [0.250, 0.325, 0.838], [0.250, 0.838, 0.325], [0.750, 0.162, 0.675]]
}


What did the second record say?
{
  "formula": "Sr2CdGa",
  "functional": "PBE",
  "state": "relaxed",
  "spacegroup": "Fm-3m",
  "m_tot_mub_per_atom": 0.003,
  "total_energy_ev_per_atom": -2.1808,
  "formation_energy_kj_per_mol_atoms": -33.6,
  "lattice_angstrom": [[0.000, 3.987, 3.987], [3.987, 0.000, 3.987], [3.987, 3.987, 0.000]],
  "species": ["Sr", "Sr", "Cd", "Ga"],
  "fractional_positions": [[0.250, 0.250, 0.250], [0.750, 0.750, 0.750], [0.500, 0.500, 0.500], [0.000, 0.000, 0.000]]
}